YAl3Ni, optimized geometry, DFT GGA-PBE; formation energy = -0.599 eV/atom; E = -5.296 eV per atom
1.0
8.157 0.000 0.000
0.000 4.051 0.000
0.000 0.000 10.647
Y Al Ni
4 12 4
direct
0.185 0.250 0.009
0.315 0.750 0.509
0.685 0.250 0.491
0.815 0.750 0.991
0.055 0.250 0.583
0.115 0.750 0.786
0.144 0.750 0.222
0.356 0.250 0.722
0.385 0.250 0.286
0.445 0.750 0.083
0.555 0.250 0.917
0.615 0.750 0.714
0.644 0.750 0.278
0.856 0.250 0.778
0.885 0.250 0.214
0.945 0.750 0.417
0.106 0.250 0.357
0.394 0.750 0.857
0.606 0.250 0.143
0.894 0.750 0.643

---

Na9Ca2Nb4Si6P3O36, optimized geometry, DFT GGA-PBE; energy above the lowest structure with this stoichiometry = 0.000 kcal/mol of atoms; formation energy = -2.914 eV/atom; E = -7.222 eV per atom
1.0
9.199 0.000 0.000
0.011 22.520 0.000
4.561 0.039 23.868
Na Ca Nb Si P O
54 12 24 36 18 216
direct
0.000 0.000 0.000
0.000 0.428 0.355
0.000 0.598 0.664
0.021 0.248 0.674
0.039 0.096 0.327
0.081 0.922 0.443
0.105 0.247 0.457
0.113 0.838 0.786
0.124 0.762 0.119
0.142 0.599 0.443
0.153 0.335 0.776
0.154 0.421 0.099
0.171 0.417 0.897
0.209 0.598 0.237
0.210 0.248 0.219
0.223 0.679 0.560
0.226 0.172 0.559
0.235 0.748 0.879
0.256 0.090 0.899
0.281 0.757 0.672
0.298 0.918 0.013
0.316 0.584 0.998
0.328 0.009 0.334
0.336 0.102 0.665
0.356 0.516 0.337
0.412 0.100 0.445
0.445 0.760 0.464
0.452 0.339 0.110
0.452 0.837 0.112
0.459 0.593 0.786
0.480 0.432 0.433
0.509 0.430 0.221
0.536 0.169 0.892
0.558 0.100 0.238
0.575 0.746 0.221
0.578 0.675 0.899
0.585 0.930 0.555
0.652 0.502 0.669
0.657 0.930 0.350
0.669 0.007 0.673
0.677 0.083 0.991
0.692 0.423 0.019
0.751 0.082 0.786
0.770 0.343 0.449
0.772 0.916 0.105
0.796 0.745 0.793
0.799 0.843 0.449
0.805 0.419 0.762
0.844 0.423 0.560
0.878 0.175 0.223
0.878 0.674 0.233
0.890 0.249 0.881
0.979 0.507 0.004
0.996 0.912 0.679
0.113 0.688 0.781
0.116 0.190 0.780
0.219 0.819 0.563
0.339 0.162 0.335
0.346 0.659 0.332
0.450 0.491 0.109
0.564 0.018 0.889
0.664 0.362 0.667
0.774 0.993 0.452
0.776 0.488 0.453
0.994 0.854 0.009
0.995 0.355 0.009
0.002 0.158 0.008
0.114 0.488 0.782
0.121 0.989 0.783
0.213 0.023 0.560
0.227 0.318 0.564
0.229 0.529 0.556
0.332 0.857 0.334
0.333 0.356 0.337
0.437 0.987 0.114
0.444 0.194 0.116
0.448 0.686 0.114
0.553 0.317 0.891
0.558 0.528 0.894
0.561 0.825 0.892
0.662 0.156 0.671
0.666 0.651 0.673
0.670 0.861 0.667
0.775 0.192 0.449
0.782 0.692 0.448
0.884 0.528 0.229
0.887 0.318 0.225
0.896 0.821 0.223
0.898 0.027 0.226
0.996 0.658 0.003
0.005 0.090 0.683
0.031 0.254 0.337
0.037 0.425 0.656
0.089 0.925 0.127
0.102 0.262 0.106
0.130 0.421 0.463
0.141 0.589 0.116
0.176 0.421 0.228
0.207 0.591 0.883
0.236 0.753 0.234
0.248 0.090 0.213
0.303 0.758 0.003
0.312 0.592 0.681
0.326 0.922 0.659
0.339 0.090 0.020
0.416 0.093 0.783
0.438 0.257 0.438
0.454 0.425 0.798
0.476 0.758 0.768
0.534 0.256 0.235
0.572 0.089 0.548
0.578 0.754 0.574
0.601 0.924 0.226
0.636 0.760 0.337
0.651 0.585 0.015
0.689 0.422 0.321
0.700 0.258 0.003
0.732 0.089 0.115
0.770 0.924 0.792
0.797 0.758 0.105
0.812 0.590 0.783
0.845 0.423 0.891
0.867 0.259 0.572
0.881 0.587 0.548
0.921 0.919 0.558
0.995 0.924 0.321
0.081 0.086 0.449
0.131 0.753 0.433
0.200 0.260 0.907
0.259 0.926 0.891
0.369 0.259 0.670
0.372 0.421 0.989
0.410 0.921 0.459
0.482 0.589 0.449
0.508 0.423 0.559
0.548 0.584 0.215
0.647 0.926 0.995
0.690 0.089 0.347
0.756 0.259 0.770
0.803 0.426 0.130
0.900 0.761 0.906
0.925 0.092 0.883
0.954 0.756 0.671
0.972 0.587 0.349
0.002 0.978 0.170
0.003 0.027 0.443
0.012 0.039 0.848
0.014 0.767 0.725
0.019 0.584 0.175
0.021 0.863 0.158
0.022 0.037 0.729
0.029 0.865 0.549
0.040 0.978 0.560
0.042 0.208 0.065
0.048 0.934 0.067
0.053 0.257 0.566
0.061 0.481 0.235
0.063 0.589 0.550
0.066 0.086 0.218
0.067 0.610 0.062
0.070 0.769 0.223
0.074 0.363 0.223
0.077 0.151 0.697
0.078 0.744 0.621
0.083 0.434 0.718
0.101 0.596 0.946
0.105 0.325 0.077
0.108 0.070 0.622
0.108 0.362 0.627
0.109 0.479 0.611
0.123 0.195 0.318
0.136 0.317 0.934
0.140 0.204 0.945
0.141 0.591 0.341
0.142 0.914 0.943
0.148 0.309 0.348
0.150 0.088 0.504
0.151 0.534 0.848
0.156 0.255 0.849
0.159 0.367 0.507
0.163 0.099 0.015
0.172 0.915 0.326
0.177 0.484 0.491
0.177 0.760 0.490
0.190 0.705 0.989
0.191 0.809 0.394
0.193 0.925 0.836
0.197 0.696 0.407
0.205 0.426 0.991
0.208 0.092 0.398
0.216 0.817 0.027
0.222 0.652 0.697
0.224 0.944 0.719
0.231 0.259 0.717
0.232 0.529 0.096
0.232 0.691 0.265
0.233 0.650 0.845
0.241 0.416 0.288
0.246 0.414 0.402
0.249 0.539 0.729
0.255 0.643 0.129
0.257 0.861 0.644
0.270 0.245 0.114
0.270 0.927 0.124
0.274 0.428 0.796
0.281 0.573 0.619
0.290 0.081 0.274
0.298 0.035 0.779
0.299 0.762 0.775
0.299 0.805 0.275
0.307 0.255 0.613
0.308 0.425 0.174
0.309 0.975 0.611
0.311 0.151 0.182
0.312 0.149 0.793
0.329 0.976 0.492
0.334 0.036 0.171
0.334 0.984 0.898
0.343 0.273 0.500
0.348 0.920 0.402
0.350 0.754 0.173
0.361 0.198 0.420
0.362 0.592 0.505
0.364 0.026 0.053
0.374 0.259 0.902
0.374 0.577 0.897
0.377 0.864 0.492
0.380 0.872 0.885
0.384 0.735 0.056
0.386 0.140 0.063
0.389 0.090 0.553
0.396 0.595 0.401
0.398 0.370 0.568
0.407 0.478 0.551
0.409 0.750 0.566
0.415 0.413 0.046
0.421 0.312 0.394
0.427 0.767 0.944
0.433 0.310 0.274
0.442 0.095 0.959
0.443 0.479 0.960
0.445 0.368 0.951
0.449 0.586 0.273
0.458 0.315 0.672
0.470 0.202 0.671
0.474 0.913 0.283
0.475 0.258 0.175
0.478 0.364 0.835
0.483 0.480 0.839
0.492 0.595 0.681
0.505 0.921 0.661
0.506 0.088 0.833
0.507 0.418 0.323
0.510 0.194 0.266
0.513 0.817 0.350
0.514 0.527 0.186
0.516 0.640 0.179
0.528 0.096 0.342
0.530 0.768 0.829
0.531 0.934 0.169
0.532 0.095 0.721
0.533 0.919 0.052
0.543 0.632 0.058
0.552 0.695 0.741
0.552 0.809 0.722
0.558 0.706 0.312
0.563 0.530 0.445
0.567 0.430 0.740
0.569 0.239 0.056
0.578 0.931 0.446
0.582 0.433 0.609
0.591 0.590 0.955
0.592 0.643 0.451
0.600 0.874 0.956
0.607 0.703 0.619
0.609 0.111 0.609
0.614 0.144 0.130
0.616 0.249 0.442
0.619 0.413 0.505
0.621 0.818 0.601
0.622 0.736 0.115
0.622 0.985 0.969
0.634 0.030 0.101
0.635 0.260 0.943
0.636 0.520 0.040
0.639 0.421 0.127
0.640 0.025 0.533
0.644 0.139 0.499
0.647 0.259 0.828
0.667 0.580 0.834
0.685 0.743 0.511
0.694 0.749 0.397
0.695 0.986 0.808
0.696 0.871 0.838
0.704 0.981 0.239
0.708 0.030 0.375
0.710 0.203 0.737
0.711 0.271 0.223
0.714 0.867 0.213
0.717 0.588 0.218
0.728 0.763 0.902
0.729 0.419 0.382
0.729 0.480 0.894
0.738 0.904 0.729
0.741 0.141 0.383
0.741 0.363 0.884
0.742 0.590 0.724
0.748 0.316 0.737
0.752 0.484 0.285
0.758 0.081 0.895
0.765 0.321 0.016
0.771 0.370 0.280
0.775 0.778 0.286
0.795 0.606 0.612
0.796 0.093 0.288
0.796 0.209 0.621
0.801 0.324 0.586
0.804 0.920 0.005
0.805 0.079 0.172
0.806 0.922 0.619
0.812 0.823 0.079
0.822 0.608 0.007
0.827 0.096 0.679
0.830 0.204 0.993
0.830 0.523 0.532
0.832 0.922 0.507
0.833 0.480 0.168
0.837 0.237 0.510
0.845 0.755 0.168
0.847 0.701 0.680
0.848 0.370 0.161
0.856 0.810 0.661
0.857 0.102 0.058
0.859 0.639 0.500
0.861 0.430 0.662
0.885 0.652 0.792
0.891 0.641 0.383
0.892 0.918 0.382
0.904 0.434 0.073
0.905 0.712 0.062
0.914 0.252 0.780
0.915 0.248 0.397
0.921 0.424 0.945
0.923 0.704 0.941
0.924 0.589 0.290
0.925 0.529 0.380
0.935 0.535 0.774
0.945 0.270 0.285
0.948 0.815 0.932
0.952 0.925 0.785
0.954 0.875 0.277
0.956 0.150 0.852
0.957 0.752 0.438
0.962 0.417 0.455
0.970 0.988 0.289
0.971 0.140 0.451
0.971 0.429 0.832
0.984 0.093 0.940
0.990 0.754 0.846
0.998 0.256 0.169

---

YUO4, optimized geometry, DFT GGA-PBE; formation energy = -3.903 eV/atom; E = -9.703 eV per atom
1.0
3.788 0.000 0.000
0.000 3.788 0.000
0.000 0.000 5.387
Y U O
1 1 4
direct
0.000 0.000 0.000
0.500 0.500 0.500
0.000 0.500 0.262
0.000 0.500 0.738
0.500 0.000 0.262
0.500 0.000 0.738

---

BaSbAu, optimized geometry, DFT GGA-PBE; formation energy = -0.925 eV/atom; E = -4.033 eV per atom
1.0
4.846 0.000 0.000
-2.423 4.196 0.000
0.000 0.000 9.478
Ba Sb Au
2 2 2
direct
0.000 0.000 0.000
0.000 0.000 0.500
0.333 0.667 0.250
0.667 0.333 0.750
0.333 0.667 0.750
0.667 0.333 0.250

---

Na3Ca, optimized geometry, DFT GGA-PBE; formation energy = 0.085 eV/atom; E = -1.408 eV per atom
1.0
8.470 0.000 0.000
0.000 8.470 0.000
0.000 0.000 8.470
Na Ca
12 4
direct
0.000 0.000 0.000
0.000 0.500 0.500
0.250 0.250 0.250
0.250 0.250 0.750
0.250 0.750 0.250
0.250 0.750 0.750
0.500 0.000 0.500
0.500 0.500 0.000
0.750 0.250 0.250
0.750 0.250 0.750
0.750 0.750 0.250
0.750 0.750 0.750
0.000 0.000 0.500
0.000 0.500 0.000
0.500 0.000 0.000
0.500 0.500 0.500

---

MnSbSe2I, optimized geometry, DFT GGA-PBE; formation energy = -0.425 eV/atom; E = -4.710 eV per atom
1.0
6.733 -2.031 0.000
6.733 2.031 0.000
-0.293 0.000 10.194
Mn Sb Se I
2 2 4 2
direct
0.000 0.000 0.000
0.000 0.000 0.500
0.293 0.293 0.683
0.707 0.707 0.317
0.073 0.073 0.259
0.363 0.363 0.444
0.637 0.637 0.556
0.927 0.927 0.741
0.367 0.367 0.075
0.633 0.633 0.925

---

Na2GaHgCl6, optimized geometry, DFT GGA-PBE; formation energy = -1.415 eV/atom; E = -2.753 eV per atom
1.0
0.000 5.194 5.194
5.194 0.000 5.194
5.194 5.194 0.000
Na Ga Hg Cl
2 1 1 6
direct
0.250 0.250 0.250
0.750 0.750 0.750
0.000 0.000 0.000
0.500 0.500 0.500
0.233 0.233 0.767
0.233 0.767 0.233
0.233 0.767 0.767
0.767 0.233 0.233
0.767 0.233 0.767
0.767 0.767 0.233